A relaxed Sc5Ga3 crystal. Source: the Materials Project, functional GGA-PBE.

Relative energy among the computed polymorphs, meV/atom: 0

a = 8.1199 Å, b = 8.1199 Å, c = 5.9647 Å
α = 90.65°, β = 90.65°, γ = 120.23°
Closest atoms and distances in Å follow each position.
Fractional positions:
Sc 0.1548 0.8452 0.0000  6 Ga 2.83-2.95, 2 Sc 3.00
Sc 0.1786 0.8214 0.5000  6 Ga 2.84-2.97, 2 Sc 3.00
Sc 0.2580 0.4989 0.7552  4 Ga 2.84-3.11
Sc 0.2633 0.2633 0.2577  4 Ga 2.84-3.03
Sc 0.4989 0.2580 0.7552  4 Ga 2.84-3.11
Sc 0.5011 0.7420 0.2448  4 Ga 2.84-3.11
Sc 0.7367 0.7367 0.7423  4 Ga 2.84-3.03
Sc 0.7420 0.5011 0.2448  4 Ga 2.84-3.11
Sc 0.8214 0.1786 0.5000  6 Ga 2.84-2.97, 2 Sc 3.00
Sc 0.8452 0.1548 0.0000  6 Ga 2.83-2.95, 2 Sc 3.00
Ga 0.0966 0.0966 0.7075  8 Sc 2.85-3.03, 1 Ga 2.90
Ga 0.0995 0.5002 0.2275  8 Sc 2.83-3.11, 1 Ga 3.14
Ga 0.5002 0.0995 0.2275  8 Sc 2.83-3.11, 1 Ga 3.14
Ga 0.4998 0.9005 0.7725  8 Sc 2.83-3.11, 1 Ga 3.14
Ga 0.9005 0.4998 0.7725  8 Sc 2.83-3.11, 1 Ga 3.14
Ga 0.9034 0.9034 0.2925  8 Sc 2.85-3.03, 1 Ga 2.90

***

A relaxed Lu2Fe14B crystal. Source: the Materials Project, functional GGA-PBE.

a = 8.7004 Å, b = 8.7004 Å, c = 11.7748 Å
α = 90.00°, β = 90.00°, γ = 90.00°
Closest atoms and distances in Å follow each position.
Fractional positions:
Lu 0.1435 0.1435 0.0000  1 B 2.84, 14 Fe 3.01-3.19
Lu 0.2340 0.2340 0.5000  16 Fe 2.96-3.19, 2 B 3.27
Lu 0.2660 0.7340 0.0000  16 Fe 2.96-3.19, 2 B 3.27
Lu 0.3565 0.6435 0.5000  1 B 2.84, 14 Fe 3.01-3.19
Lu 0.6435 0.3565 0.5000  1 B 2.84, 14 Fe 3.01-3.19
Lu 0.7340 0.2660 0.0000  16 Fe 2.96-3.19, 2 B 3.27
Lu 0.7660 0.7660 0.5000  16 Fe 2.96-3.19, 2 B 3.27
Lu 0.8565 0.8565 0.0000  1 B 2.84, 14 Fe 3.01-3.19
Fe 0.0000 0.0000 0.3838  2 B 2.06
Fe 0.0000 0.0000 0.6162  2 B 2.06
Fe 0.0000 0.5000 0.0000  8 Fe 2.41-2.51
Fe 0.0000 0.5000 0.5000  8 Fe 2.41-2.51
Fe 0.0373 0.6420 0.1738  10 Fe 2.35-2.62
Fe 0.0373 0.6420 0.8262  10 Fe 2.35-2.62
Fe 0.0656 0.7243 0.3744  1 B 2.04
Fe 0.0656 0.7243 0.6256  1 B 2.04
Fe 0.0969 0.9031 0.1981  6 Fe 2.35-2.61
Fe 0.0969 0.9031 0.8019  6 Fe 2.35-2.61
Fe 0.1420 0.4627 0.3262  10 Fe 2.35-2.62
Fe 0.1420 0.4627 0.6738  10 Fe 2.35-2.62
Fe 0.1832 0.1832 0.2540  12 Fe 2.60-2.76
Fe 0.1832 0.1832 0.7460  12 Fe 2.60-2.76
Fe 0.2243 0.4344 0.1256  1 B 2.04
Fe 0.2243 0.4344 0.8744  1 B 2.04
Fe 0.2757 0.9344 0.3744  1 B 2.04
Fe 0.2757 0.9344 0.6256  1 B 2.04
Fe 0.3168 0.6832 0.2460  12 Fe 2.60-2.76
Fe 0.3168 0.6832 0.7540  12 Fe 2.60-2.76
Fe 0.3580 0.9627 0.1738  10 Fe 2.35-2.62
Fe 0.3580 0.9627 0.8262  10 Fe 2.35-2.62
Fe 0.4031 0.4031 0.3019  6 Fe 2.35-2.61
Fe 0.4031 0.4031 0.6981  6 Fe 2.35-2.61
Fe 0.4344 0.2243 0.1256  1 B 2.04
Fe 0.4344 0.2243 0.8744  1 B 2.04
Fe 0.4627 0.1420 0.3262  10 Fe 2.35-2.62
Fe 0.4627 0.1420 0.6738  10 Fe 2.35-2.62
Fe 0.5000 0.0000 0.0000  8 Fe 2.41-2.51
Fe 0.5000 0.0000 0.5000  8 Fe 2.41-2.51
Fe 0.5000 0.5000 0.1162  2 B 2.06
Fe 0.5000 0.5000 0.8838  2 B 2.06
Fe 0.5373 0.8580 0.3262  10 Fe 2.35-2.62
Fe 0.5373 0.8580 0.6738  10 Fe 2.35-2.62
Fe 0.5656 0.7757 0.1256  1 B 2.04
Fe 0.5656 0.7757 0.8744  1 B 2.04
Fe 0.5969 0.5969 0.3019  6 Fe 2.35-2.61
Fe 0.5969 0.5969 0.6981  6 Fe 2.35-2.61
Fe 0.6420 0.0373 0.1738  10 Fe 2.35-2.62
Fe 0.6420 0.0373 0.8262  10 Fe 2.35-2.62
Fe 0.6832 0.3168 0.2460  12 Fe 2.60-2.76
Fe 0.6832 0.3168 0.7540  12 Fe 2.60-2.76
Fe 0.7243 0.0656 0.3744  1 B 2.04
Fe 0.7243 0.0656 0.6256  1 B 2.04
Fe 0.7757 0.5656 0.1256  1 B 2.04
Fe 0.7757 0.5656 0.8744  1 B 2.04
Fe 0.8168 0.8168 0.2540  12 Fe 2.60-2.76
Fe 0.8168 0.8168 0.7460  12 Fe 2.60-2.76
Fe 0.8580 0.5373 0.3262  10 Fe 2.35-2.62
Fe 0.8580 0.5373 0.6738  10 Fe 2.35-2.62
Fe 0.9031 0.0969 0.1981  6 Fe 2.35-2.61
Fe 0.9031 0.0969 0.8019  6 Fe 2.35-2.61
Fe 0.9344 0.2757 0.3744  1 B 2.04
Fe 0.9344 0.2757 0.6256  1 B 2.04
Fe 0.9627 0.3580 0.1738  10 Fe 2.35-2.62
Fe 0.9627 0.3580 0.8262  10 Fe 2.35-2.62
B 0.1254 0.8746 0.5000  6 Fe 2.04-2.06
B 0.3746 0.3746 0.0000  6 Fe 2.04-2.06
B 0.6254 0.6254 0.0000  6 Fe 2.04-2.06
B 0.8746 0.1254 0.5000  6 Fe 2.04-2.06

***

A relaxed Sm3P6Pd20 crystal. Source: the Materials Project, functional GGA-PBE.

a = 8.7296 Å, b = 8.7296 Å, c = 8.7296 Å
α = 60.00°, β = 60.00°, γ = 60.00°
Closest atoms and distances in Å follow each position.
Fractional positions:
Sm 0.0000 0.0000 0.0000  12 Pd 3.03, 6 P 3.23
Sm 0.2500 0.2500 0.2500  4 Pd 2.90
Sm 0.7500 0.7500 0.7500  4 Pd 2.90
P 0.2619 0.2619 0.7381  8 Pd 2.40-2.51
P 0.2619 0.7381 0.2619  8 Pd 2.40-2.51
P 0.2619 0.7381 0.7381  8 Pd 2.40-2.51
P 0.7381 0.2619 0.2619  8 Pd 2.40-2.51
P 0.7381 0.2619 0.7381  8 Pd 2.40-2.51
P 0.7381 0.7381 0.2619  8 Pd 2.40-2.51
Pd 0.0000 0.0000 0.3468  2 P 2.40, 1 Pd 2.67
Pd 0.0000 0.0000 0.6532  2 P 2.40, 1 Pd 2.67
Pd 0.0000 0.3468 0.0000  2 P 2.40, 1 Pd 2.67
Pd 0.0000 0.3468 0.6532  2 P 2.40, 1 Pd 2.67
Pd 0.0000 0.6532 0.0000  2 P 2.40, 1 Pd 2.67
Pd 0.0000 0.6532 0.3468  2 P 2.40, 1 Pd 2.67
Pd 0.1571 0.6143 0.6143  3 P 2.51
Pd 0.3468 0.0000 0.0000  2 P 2.40, 1 Pd 2.67
Pd 0.3468 0.0000 0.6532  2 P 2.40, 1 Pd 2.67
Pd 0.3468 0.6532 0.0000  2 P 2.40, 1 Pd 2.67
Pd 0.3857 0.3857 0.3857  3 P 2.51
Pd 0.3857 0.3857 0.8429  3 P 2.51
Pd 0.3857 0.8429 0.3857  3 P 2.51
Pd 0.6143 0.1571 0.6143  3 P 2.51
Pd 0.6143 0.6143 0.1571  3 P 2.51
Pd 0.6143 0.6143 0.6143  3 P 2.51
Pd 0.6532 0.0000 0.0000  2 P 2.40, 1 Pd 2.67
Pd 0.6532 0.0000 0.3468  2 P 2.40, 1 Pd 2.67
Pd 0.6532 0.3468 0.0000  2 P 2.40, 1 Pd 2.67
Pd 0.8429 0.3857 0.3857  3 P 2.51

***

A relaxed Li2TlHg crystal. Source: the Materials Project, functional GGA-PBE.

a = 3.3436 Å, b = 3.3436 Å, c = 7.1345 Å
α = 90.00°, β = 90.00°, γ = 90.00°
Closest atoms and distances in Å follow each position.
Fractional positions:
Li 0.0000 0.0000 0.2338  4 Hg 2.89, 4 Tl 3.03
Li 0.0000 0.0000 0.7662  4 Hg 2.89, 4 Tl 3.03
Tl 0.5000 0.5000 0.5000  8 Li 3.03, 4 Tl 3.34
Hg 0.5000 0.5000 0.0000  8 Li 2.89

***

A relaxed Sr6Pr3Cu6O17 crystal. Source: the Materials Project, functional GGA-PBE.

a = 11.8461 Å, b = 11.8461 Å, c = 11.8461 Å
α = 121.52°, β = 61.87°, γ = 161.57°
Closest atoms and distances in Å follow each position.
Fractional positions:
Sr 0.1750 0.3183 0.5009  5 O 2.46-2.74
Sr 0.1750 0.6741 0.8566  5 O 2.46-2.74
Sr 0.1973 0.0000 0.1973  7 O 2.49-2.68
Sr 0.8027 0.0000 0.8027  7 O 2.49-2.68
Sr 0.8175 0.3183 0.1434  5 O 2.46-2.74
Sr 0.8175 0.6741 0.4991  5 O 2.46-2.74
Pr 0.0156 0.3120 0.2965  9 O 2.48-2.70
Pr 0.0156 0.7191 0.7035  9 O 2.48-2.70
Pr 0.9962 0.9962 0.0000  8 O 2.47-2.50
Cu 0.3692 0.9553 0.4139  4 O 1.88-1.96
Cu 0.3973 0.3534 0.7506  4 O 1.91-2.09
Cu 0.3973 0.6467 0.0439  4 O 1.91-2.09
Cu 0.5413 0.9553 0.5861  4 O 1.88-1.96
Cu 0.6028 0.3534 0.9561  4 O 1.91-2.09
Cu 0.6028 0.6467 0.2494  4 O 1.91-2.09
O 0.0928 0.1418 0.2350  2 Cu 1.91
O 0.0928 0.8578 0.9510  2 Cu 1.91
O 0.2208 0.7208 0.5000  2 Cu 1.96
O 0.2992 0.3429 0.6420  1 Cu 2.00
O 0.2992 0.6572 0.9563  1 Cu 2.00
O 0.3306 0.0108 0.3198  1 Cu 1.93
O 0.4224 0.1654 0.5806  1 Cu 1.88
O 0.4224 0.8418 0.2570  1 Cu 1.88
O 0.4972 0.3601 0.8629  2 Cu 2.09
O 0.4972 0.6343 0.1371  2 Cu 2.09
O 0.5848 0.1654 0.7430  1 Cu 1.88
O 0.5848 0.8418 0.4194  1 Cu 1.88
O 0.6910 0.0108 0.6802  1 Cu 1.93
O 0.7008 0.3429 0.0437  1 Cu 2.00
O 0.7008 0.6572 0.3580  1 Cu 2.00
O 0.9068 0.1418 0.0490  2 Cu 1.91
O 0.9068 0.8578 0.7650  2 Cu 1.91

***

A relaxed Ba14In4Cu2N7 crystal. Source: the Materials Project, functional GGA-PBE.

a = 9.4500 Å, b = 8.1861 Å, c = 21.9292 Å
α = 90.00°, β = 102.15°, γ = 90.00°
Closest atoms and distances in Å follow each position.
Fractional positions:
Ba 0.0000 0.0000 0.0000  2 N 2.84
Ba 0.0000 0.2475 0.5000  4 N 2.85-2.99
Ba 0.0000 0.5000 0.0000  12 Ba 4.01-4.21
Ba 0.0000 0.7525 0.5000  4 N 2.85-2.99
Ba 0.0754 0.2476 0.6910  2 N 2.64-2.78
Ba 0.0754 0.7524 0.6910  2 N 2.64-2.78
Ba 0.1111 0.5000 0.1929  1 N 2.46
Ba 0.2471 0.5000 0.4124  3 N 2.77-2.78
Ba 0.2483 0.0000 0.4162  3 N 2.73-2.81
Ba 0.2519 0.2490 0.8929  3 N 2.89-2.98
Ba 0.2519 0.7510 0.8929  3 N 2.89-2.98
Ba 0.3279 0.0000 0.5929  3 N 2.71-2.86
Ba 0.3310 0.5000 0.5910  3 N 2.74-2.78
Ba 0.3409 0.2339 0.0855  2 N 2.74-2.80
Ba 0.3409 0.7661 0.0855  2 N 2.74-2.80
Ba 0.4155 0.5000 0.7889  2 N 2.61-2.66
Ba 0.5845 0.5000 0.2111  2 N 2.61-2.66
Ba 0.6591 0.2339 0.9145  2 N 2.74-2.80
Ba 0.6591 0.7661 0.9145  2 N 2.74-2.80
Ba 0.6690 0.5000 0.4090  3 N 2.74-2.78
Ba 0.6721 0.0000 0.4071  3 N 2.71-2.86
Ba 0.7481 0.2490 0.1071  3 N 2.89-2.98
Ba 0.7481 0.7510 0.1071  3 N 2.89-2.98
Ba 0.7517 0.0000 0.5838  3 N 2.73-2.81
Ba 0.7529 0.5000 0.5876  3 N 2.77-2.78
Ba 0.8889 0.5000 0.8071  1 N 2.46
Ba 0.9246 0.2476 0.3090  2 N 2.64-2.78
Ba 0.9246 0.7524 0.3090  2 N 2.64-2.78
In 0.1417 0.0000 0.1919  2 In 3.03
In 0.3643 0.2006 0.2807  3 In 3.02-3.28
In 0.3643 0.7994 0.2807  3 In 3.02-3.28
In 0.4384 0.0000 0.7816  2 In 3.02
In 0.5616 0.0000 0.2184  2 In 3.02
In 0.6357 0.2006 0.7193  3 In 3.02-3.28
In 0.6357 0.7994 0.7193  3 In 3.02-3.28
In 0.8583 0.0000 0.8081  2 In 3.03
Cu 0.5000 0.0000 0.0000  2 N 1.89
Cu 0.5000 0.2561 0.5000  2 N 1.88
Cu 0.5000 0.5000 0.0000  2 N 1.88
Cu 0.5000 0.7439 0.5000  2 N 1.88
N 0.0464 0.0000 0.6023  6 Ba 2.71-2.99
N 0.0525 0.5000 0.6144  4 Ba 2.64-2.78
N 0.1452 0.5000 0.7993  2 Ba 2.46-2.61
N 0.2973 0.0000 0.9943  1 Cu 1.89
N 0.3026 0.2574 0.5029  1 Cu 1.88
N 0.3026 0.7426 0.5029  1 Cu 1.88
N 0.4724 0.5000 0.9127  1 Cu 1.88
N 0.5276 0.5000 0.0873  1 Cu 1.88
N 0.6974 0.2574 0.4971  1 Cu 1.88
N 0.6974 0.7426 0.4971  1 Cu 1.88
N 0.7027 0.0000 0.0057  1 Cu 1.89
N 0.8548 0.5000 0.2007  2 Ba 2.46-2.61
N 0.9475 0.5000 0.3856  4 Ba 2.64-2.78
N 0.9536 0.0000 0.3977  6 Ba 2.71-2.99

***

A relaxed GdPO4 crystal. Source: the Materials Project, functional GGA-PBE.

a = 6.3880 Å, b = 6.9207 Å, c = 8.0701 Å
α = 90.00°, β = 125.85°, γ = 90.00°
Closest atoms and distances in Å follow each position.
Fractional positions:
Gd 0.1900 0.1536 0.2841  8 O 2.38-2.62
Gd 0.1900 0.3464 0.7841  8 O 2.38-2.62
Gd 0.8100 0.6536 0.2159  8 O 2.38-2.62
Gd 0.8100 0.8464 0.7159  8 O 2.38-2.62
P 0.3095 0.6602 0.1980  4 O 1.55-1.56
P 0.3095 0.8398 0.6980  4 O 1.55-1.56
P 0.6905 0.1602 0.3020  4 O 1.55-1.56
P 0.6905 0.3398 0.8020  4 O 1.55-1.56
O 0.1200 0.6646 0.6165  1 P 1.56
O 0.1200 0.8354 0.1165  1 P 1.56
O 0.1823 0.5024 0.2485  1 P 1.55
O 0.1823 0.9976 0.7485  1 P 1.55
O 0.3437 0.5989 0.0301  1 P 1.55
O 0.3437 0.9011 0.5301  1 P 1.55
O 0.4102 0.2084 0.1207  1 P 1.55
O 0.4102 0.2916 0.6207  1 P 1.55
O 0.5898 0.7084 0.3793  1 P 1.55
O 0.5898 0.7916 0.8793  1 P 1.55
O 0.6563 0.0989 0.4699  1 P 1.55
O 0.6563 0.4011 0.9699  1 P 1.55
O 0.8177 0.0024 0.2515  1 P 1.55
O 0.8177 0.4976 0.7515  1 P 1.55
O 0.8800 0.1646 0.8835  1 P 1.56
O 0.8800 0.3354 0.3835  1 P 1.56

***

A relaxed SnHg7P4Br6 crystal. Source: the Materials Project, functional GGA-PBE.

a = 12.8062 Å, b = 12.8062 Å, c = 12.8062 Å
α = 90.00°, β = 90.00°, γ = 90.00°
Closest atoms and distances in Å follow each position.
Fractional positions:
Sn 0.2400 0.2600 0.7400  3 Br 2.76
Sn 0.2600 0.7400 0.2400  3 Br 2.76
Sn 0.7400 0.2400 0.2600  3 Br 2.76
Sn 0.7600 0.7600 0.7600  3 Br 2.76
Hg 0.0031 0.7511 0.9289  2 P 2.47-2.48
Hg 0.0381 0.0381 0.0381  2 P 2.42
Hg 0.0711 0.5031 0.7489  2 P 2.47-2.48
Hg 0.0774 0.3219 0.1007  2 P 2.48-2.51
Hg 0.1007 0.0774 0.3219  2 P 2.48-2.51
Hg 0.1781 0.8993 0.5774  2 P 2.48-2.51
Hg 0.2489 0.4289 0.4969  2 P 2.47-2.48
Hg 0.2511 0.5711 0.9969  2 P 2.47-2.48
Hg 0.3219 0.1007 0.0774  2 P 2.48-2.51
Hg 0.3993 0.9226 0.8219  2 P 2.48-2.51
Hg 0.4226 0.6781 0.6007  2 P 2.48-2.51
Hg 0.4289 0.4969 0.2489  2 P 2.47-2.48
Hg 0.4619 0.9619 0.5381  2 P 2.42
Hg 0.4969 0.2489 0.4289  2 P 2.47-2.48
Hg 0.5031 0.7489 0.0711  2 P 2.47-2.48
Hg 0.5381 0.4619 0.9619  2 P 2.42
Hg 0.5711 0.9969 0.2511  2 P 2.47-2.48
Hg 0.5774 0.1781 0.8993  2 P 2.48-2.51
Hg 0.6007 0.4226 0.6781  2 P 2.48-2.51
Hg 0.6781 0.6007 0.4226  2 P 2.48-2.51
Hg 0.7489 0.0711 0.5031  2 P 2.47-2.48
Hg 0.7511 0.9289 0.0031  2 P 2.47-2.48
Hg 0.8219 0.3993 0.9226  2 P 2.48-2.51
Hg 0.8993 0.5774 0.1781  2 P 2.48-2.51
Hg 0.9226 0.8219 0.3993  2 P 2.48-2.51
Hg 0.9289 0.0031 0.7511  2 P 2.47-2.48
Hg 0.9619 0.5381 0.4619  2 P 2.42
Hg 0.9969 0.2511 0.5711  2 P 2.47-2.48
P 0.0309 0.9691 0.4691  1 P 2.21
P 0.0685 0.5685 0.9315  1 P 2.21
P 0.0712 0.4288 0.5712  4 Hg 2.42-2.47
P 0.1473 0.1473 0.1473  4 Hg 2.42-2.48
P 0.3527 0.8527 0.6473  4 Hg 2.42-2.48
P 0.4288 0.5712 0.0712  4 Hg 2.42-2.47
P 0.4315 0.4315 0.4315  1 P 2.21
P 0.4691 0.0309 0.9691  1 P 2.21
P 0.5309 0.5309 0.5309  1 P 2.21
P 0.5685 0.9315 0.0685  1 P 2.21
P 0.5712 0.0712 0.4288  4 Hg 2.42-2.47
P 0.6473 0.3527 0.8527  4 Hg 2.42-2.48
P 0.8527 0.6473 0.3527  4 Hg 2.42-2.48
P 0.9288 0.9288 0.9288  4 Hg 2.42-2.47
P 0.9315 0.0685 0.5685  1 P 2.21
P 0.9691 0.4691 0.0309  1 P 2.21
Br 0.0222 0.7598 0.6846  2 Hg 3.01-3.14
Br 0.0573 0.7949 0.1912  1 Sn 2.76
Br 0.1846 0.4778 0.2402  2 Hg 3.01-3.14
Br 0.1912 0.0573 0.7949  1 Sn 2.76
Br 0.2051 0.6912 0.4427  1 Sn 2.76
Br 0.2402 0.1846 0.4778  2 Hg 3.01-3.14
Br 0.2598 0.8154 0.9778  2 Hg 3.01-3.14
Br 0.2949 0.3088 0.9427  1 Sn 2.76
Br 0.3088 0.9427 0.2949  1 Sn 2.76
Br 0.3154 0.5222 0.7402  2 Hg 3.01-3.14
Br 0.4427 0.2051 0.6912  1 Sn 2.76
Br 0.4778 0.2402 0.1846  2 Hg 3.01-3.14
Br 0.5222 0.7402 0.3154  2 Hg 3.01-3.14
Br 0.5573 0.7051 0.8088  1 Sn 2.76
Br 0.6846 0.0222 0.7598  2 Hg 3.01-3.14
Br 0.6912 0.4427 0.2051  1 Sn 2.76
Br 0.7051 0.8088 0.5573  1 Sn 2.76
Br 0.7402 0.3154 0.5222  2 Hg 3.01-3.14
Br 0.7598 0.6846 0.0222  2 Hg 3.01-3.14
Br 0.7949 0.1912 0.0573  1 Sn 2.76
Br 0.8088 0.5573 0.7051  1 Sn 2.76
Br 0.8154 0.9778 0.2598  2 Hg 3.01-3.14
Br 0.9427 0.2949 0.3088  1 Sn 2.76
Br 0.9778 0.2598 0.8154  2 Hg 3.01-3.14

***

Number 1: ΔH_f (0 K) -0.530 eV/atom. Number 2: ΔH_f (0 K) -0.125 eV/atom. Number 3: ΔH_f (0 K) -0.714 eV/atom. Number 4: ΔH_f (0 K) -0.301 eV/atom. Number 5: ΔH_f (0 K) -2.443 eV/atom. Number 6: ΔH_f (0 K) -0.453 eV/atom. Number 7: ΔH_f (0 K) -3.431 eV/atom. Number 8: ΔH_f (0 K) -0.512 eV/atom.